[1]
# BaLaB12

A relaxed BaLaB12 crystal (r²SCAN, the Materials Project database).

Output
The formation energy comes out at -0.556 eV per atom.

```
data_BaLaB12
_chemical_formula_sum 'Ba1 La1 B12'
_cell_length_a 4.208
_cell_length_b 4.208
_cell_length_c 8.429
_cell_angle_alpha 90.00
_cell_angle_beta 90.00
_cell_angle_gamma 90.00
_space_group_name_H-M_alt 'P 4/m m m'
_space_group_IT_number 123
_space_group_name_Hall '-P 4 2'
loop_
_atom_site_label
_atom_site_type_symbol
_atom_site_fract_x
_atom_site_fract_y
_atom_site_fract_z
_atom_site_occupancy
Ba1 Ba 0.000 0.000 0.000 1
La1 La 0.000 0.000 0.500 1
B1 B 0.202 0.500 0.254 1
B2 B 0.500 0.500 0.104 1
B3 B 0.500 0.500 0.401 1
```

---

[2]
# SnPbSe2

A relaxed SnPbSe2 crystal (r²SCAN, the Materials Project database).

Output
The formation energy comes out at -0.537 eV per atom.

```
data_SnPbSe2
_chemical_formula_sum 'Sn3 Pb3 Se6'
_cell_length_a 4.3146
_cell_length_b 4.3146
_cell_length_c 21.1342
_cell_angle_alpha 90.00
_cell_angle_beta 90.00
_cell_angle_gamma 120.00
_space_group_name_H-M_alt 'R -3 m'
_space_group_IT_number 166
_space_group_name_Hall '-R 3 2"'
loop_
_atom_site_label
_atom_site_type_symbol
_atom_site_fract_x
_atom_site_fract_y
_atom_site_fract_z
_atom_site_occupancy
Sn1 Sn 0.0000 0.0000 0.0000 1
Pb1 Pb 0.0000 0.0000 0.5000 1
Se1 Se 0.0000 0.0000 0.2526 1
```

---

[3]
# Gd2Cl3

A relaxed Gd2Cl3 crystal (r²SCAN, the Materials Project database).

Output
The formation energy comes out at -2.052 eV per atom.

```
data_Gd2Cl3
_chemical_formula_sum 'Gd8 Cl12'
_cell_length_a 15.513
_cell_length_b 3.914
_cell_length_c 10.262
_cell_angle_alpha 90.00
_cell_angle_beta 118.51
_cell_angle_gamma 90.00
_space_group_name_H-M_alt 'C 1 2/m 1'
_space_group_IT_number 12
_space_group_name_Hall '-C 2y'
loop_
_atom_site_label
_atom_site_type_symbol
_atom_site_fract_x
_atom_site_fract_y
_atom_site_fract_z
_atom_site_occupancy
Gd1 Gd 0.093 0.000 0.453 1
Gd2 Gd 0.138 0.500 0.791 1
Cl1 Cl 0.046 0.500 0.237 1
Cl2 Cl 0.159 0.000 0.006 1
Cl3 Cl 0.233 0.500 0.621 1
```

---

[4]
# Sc3PbC

A relaxed Sc3PbC crystal (r²SCAN, the Materials Project database).

Output
The formation energy comes out at -0.797 eV per atom.

```
data_Sc3PbC
_chemical_formula_sum 'Sc3 Pb1 C1'
_cell_length_a 4.554
_cell_length_b 4.554
_cell_length_c 4.554
_cell_angle_alpha 90.00
_cell_angle_beta 90.00
_cell_angle_gamma 90.00
_space_group_name_H-M_alt 'P m -3 m'
_space_group_IT_number 221
_space_group_name_Hall '-P 4 2 3'
loop_
_atom_site_label
_atom_site_type_symbol
_atom_site_fract_x
_atom_site_fract_y
_atom_site_fract_z
_atom_site_occupancy
Sc1 Sc 0.000 0.000 0.500 1
Pb1 Pb 0.500 0.500 0.500 1
C1 C 0.000 0.000 0.000 1
```

---

[5]
# EuTa3O9

A relaxed EuTa3O9 crystal (r²SCAN, the Materials Project database).

Output
The formation energy comes out at -3.129 eV per atom.

```
data_EuTa3O9
_chemical_formula_sum 'Eu4 Ta12 O36'
_cell_length_a 16.572
_cell_length_b 5.535
_cell_length_c 9.665
_cell_angle_alpha 90.00
_cell_angle_beta 124.91
_cell_angle_gamma 90.00
_space_group_name_H-M_alt 'C 1 2/m 1'
_space_group_IT_number 12
_space_group_name_Hall '-C 2y'
loop_
_atom_site_label
_atom_site_type_symbol
_atom_site_fract_x
_atom_site_fract_y
_atom_site_fract_z
_atom_site_occupancy
Eu1 Eu 0.170 0.000 0.001 1
Ta1 Ta 0.076 0.500 0.741 1
Ta2 Ta 0.084 0.000 0.250 1
Ta3 Ta 0.247 0.000 0.734 1
O1 O 0.000 0.000 0.000 1
O2 O 0.000 0.500 0.500 1
O3 O 0.011 0.241 0.771 1
O4 O 0.164 0.000 0.496 1
O5 O 0.164 0.241 0.231 1
O6 O 0.174 0.250 0.772 1
O7 O 0.178 0.500 0.000 1
```

---

[6]
# Na2EuCuCl6

A relaxed Na2EuCuCl6 crystal (r²SCAN, the Materials Project database).

Output
The formation energy comes out at -1.651 eV per atom.

```
data_Na2EuCuCl6
_chemical_formula_sum 'Na8 Eu4 Cu4 Cl24'
_cell_length_a 10.278
_cell_length_b 10.278
_cell_length_c 10.278
_cell_angle_alpha 90.00
_cell_angle_beta 90.00
_cell_angle_gamma 90.00
_space_group_name_H-M_alt 'F m -3 m'
_space_group_IT_number 225
_space_group_name_Hall '-F 4 2 3'
loop_
_atom_site_label
_atom_site_type_symbol
_atom_site_fract_x
_atom_site_fract_y
_atom_site_fract_z
_atom_site_occupancy
Na1 Na 0.250 0.250 0.250 1
Eu1 Eu 0.000 0.000 0.000 1
Cu1 Cu 0.000 0.000 0.500 1
Cl1 Cl 0.000 0.000 0.263 1
```